Arrangement w

A relaxed structure of Sr10P6BrO24F. Source: Materials Project, functional GGA-PBE. Values from VASP.

Quantum ESPRESSO input file:
```
&SYSTEM
  ibrav = 0, nat = 42, ntyp = 5
/
ATOMIC_SPECIES
Sr 87.62 Sr.upf
O 16.00 O.upf
P 30.97 P.upf
F 19.00 F.upf
Br 79.90 Br.upf
CELL_PARAMETERS angstrom
-6.362 7.558 -1.508
1.067 -7.097 -6.955
-5.358 -3.884 3.141
ATOMIC_POSITIONS crystal
Sr 0.275 0.009 0.744
O 0.664 0.921 0.584
O 0.352 0.083 0.078
O 0.257 0.336 0.584
O 0.348 0.083 0.420
O 0.456 0.581 0.739
O 0.917 0.268 0.078
P 0.627 0.596 0.250
O 0.917 0.265 0.420
O 0.147 0.483 0.251
Sr 0.756 0.995 0.251
Sr 0.667 0.333 0.499
P 0.367 0.400 0.751
Sr 0.667 0.333 0.004
O 0.585 0.119 0.254
P 0.600 0.967 0.751
P 0.033 0.633 0.751
O 0.641 0.912 0.929
Sr 0.991 0.266 0.744
F 0.000 0.000 0.338
O 0.079 0.743 0.584
O 0.483 0.338 0.752
P 0.969 0.373 0.250
Sr 0.239 0.244 0.251
O 0.662 0.145 0.752
O 0.517 0.665 0.251
Sr 0.333 0.667 0.999
O 0.855 0.517 0.752
O 0.534 0.415 0.254
O 0.735 0.652 0.420
Br 0.000 0.000 0.911
P 0.404 0.031 0.250
O 0.732 0.648 0.078
O 0.270 0.359 0.929
Sr 0.734 0.725 0.744
Sr 0.005 0.761 0.251
O 0.335 0.853 0.251
O 0.124 0.544 0.739
O 0.881 0.466 0.254
O 0.419 0.876 0.739
Sr 0.333 0.667 0.494
O 0.088 0.730 0.929
```

Results
Space group   No. 143

Arrangement x

A relaxed structure of Sr10P6BrO24F. Source: Materials Project, functional GGA-PBE. Values from VASP.

Quantum ESPRESSO input file:
```
&SYSTEM
  ibrav = 0, nat = 84, ntyp = 5
/
ATOMIC_SPECIES
P 30.97 P.upf
O 16.00 O.upf
Sr 87.62 Sr.upf
F 19.00 F.upf
Br 79.90 Br.upf
CELL_PARAMETERS angstrom
-2.991 6.338 2.107
-8.593 -2.612 -4.341
-5.208 -7.356 14.732
ATOMIC_POSITIONS crystal
P 0.250 0.667 0.302
O 0.077 0.688 0.046
Sr 0.250 0.865 0.870
O 0.750 0.688 0.168
Sr 0.750 0.742 0.004
O 0.923 0.775 0.865
Sr 0.250 0.385 0.624
P 0.750 0.285 0.318
O 0.423 0.688 0.046
Sr 0.750 0.135 0.130
P 0.750 0.830 0.205
Sr 0.000 0.998 0.335
O 0.422 0.197 0.540
Sr 0.500 0.998 0.335
O 0.422 0.089 0.819
Sr 0.500 0.002 0.665
O 0.750 0.021 0.441
Sr 0.250 0.874 0.134
Sr 0.750 0.252 0.504
Sr 0.750 0.126 0.866
O 0.578 0.289 0.371
Sr 0.750 0.615 0.376
O 0.750 0.333 0.788
O 0.250 0.473 0.061
P 0.750 0.333 0.698
F 0.750 0.498 0.500
O 0.578 0.911 0.181
O 0.922 0.289 0.371
Sr 0.000 0.499 0.168
O 0.750 0.647 0.763
O 0.423 0.225 0.135
O 0.250 0.851 0.727
Sr 0.250 0.748 0.496
F 0.250 0.502 0.500
Sr 0.500 0.499 0.168
O 0.922 0.803 0.460
O 0.250 0.667 0.212
O 0.750 0.405 0.259
P 0.250 0.116 0.515
Sr 0.000 0.002 0.665
O 0.250 0.094 0.241
O 0.250 0.979 0.559
P 0.250 0.170 0.795
Sr 0.250 0.258 0.996
O 0.078 0.089 0.819
P 0.250 0.715 0.682
P 0.250 0.221 0.188
Sr 0.250 0.370 0.381
O 0.250 0.595 0.741
O 0.577 0.312 0.954
P 0.750 0.884 0.485
O 0.750 0.527 0.939
O 0.922 0.410 0.670
O 0.250 0.312 0.832
O 0.750 0.186 0.667
Sr 0.750 0.630 0.619
O 0.250 0.353 0.237
O 0.078 0.590 0.330
O 0.078 0.711 0.629
Br 0.500 0.000 0.000
O 0.750 0.409 0.071
Br 0.000 0.000 0.000
P 0.750 0.389 0.982
O 0.422 0.590 0.330
O 0.923 0.312 0.954
O 0.922 0.911 0.181
O 0.078 0.197 0.540
P 0.750 0.779 0.812
O 0.578 0.410 0.670
O 0.578 0.803 0.460
O 0.577 0.775 0.865
O 0.250 0.814 0.333
O 0.250 0.093 0.426
O 0.750 0.907 0.574
O 0.750 0.906 0.759
O 0.422 0.711 0.629
P 0.250 0.611 0.018
O 0.750 0.149 0.273
O 0.077 0.225 0.135
O 0.750 0.823 0.296
Sr 0.500 0.501 0.832
O 0.250 0.177 0.704
O 0.250 0.591 0.929
Sr 0.000 0.501 0.832
```

Results
Space group   No. 11

The computed energies, referenced to the most stable structure and given in meV per atom, are arrangement w 9; arrangement x 0.

Arrangement w

A relaxed structure of FeS4Br4N5. Source: Materials Project, functional GGA-PBE. Values from VASP.

Quantum ESPRESSO input file:
```
&SYSTEM
  ibrav = 0, nat = 28, ntyp = 4
/
ATOMIC_SPECIES
N 14.01 N.upf
S 32.06 S.upf
Br 79.90 Br.upf
Fe 55.84 Fe.upf
CELL_PARAMETERS angstrom
9.123 3.319 0.000
-9.123 3.319 0.000
0.000 0.179 12.577
ATOMIC_POSITIONS crystal
N 0.537 0.502 0.561
S 0.611 0.474 0.096
Br 0.769 0.934 0.334
Br 0.609 0.199 0.812
Fe 0.950 0.548 0.805
N 0.502 0.537 0.061
Br 0.934 0.769 0.834
S 0.059 0.214 0.598
N 0.138 0.121 0.564
N 0.121 0.138 0.064
N 0.603 0.465 0.226
Br 0.141 0.588 0.936
N 0.465 0.603 0.726
S 0.474 0.611 0.596
Br 0.107 0.639 0.640
S 0.364 0.300 0.277
S 0.214 0.059 0.098
Br 0.199 0.609 0.312
N 0.222 0.067 0.228
Fe 0.548 0.950 0.305
S 0.300 0.364 0.777
S 0.374 0.260 0.608
S 0.260 0.374 0.108
N 0.720 0.946 0.915
N 0.946 0.720 0.415
Br 0.639 0.107 0.140
N 0.067 0.222 0.728
Br 0.588 0.141 0.436
```

Results
Space group   No. 9

Arrangement x

A relaxed structure of FeS4Br4N5. Source: Materials Project, functional GGA-PBE. Values from VASP.

Quantum ESPRESSO input file:
```
&SYSTEM
  ibrav = 0, nat = 28, ntyp = 4
/
ATOMIC_SPECIES
N 14.01 N.upf
S 32.06 S.upf
Br 79.90 Br.upf
Fe 55.84 Fe.upf
CELL_PARAMETERS angstrom
9.397 3.570 0.000
-9.397 3.570 0.000
0.000 0.588 12.036
ATOMIC_POSITIONS crystal
N 0.441 0.585 0.729
S 0.256 0.360 0.113
Br 0.168 0.634 0.904
Br 0.091 0.673 0.593
N 0.518 0.485 0.562
S 0.061 0.220 0.600
S 0.597 0.463 0.094
N 0.585 0.441 0.229
Br 0.900 0.764 0.828
N 0.131 0.141 0.068
Fe 0.929 0.561 0.803
N 0.697 0.982 0.991
Br 0.634 0.168 0.404
N 0.485 0.518 0.062
S 0.282 0.361 0.787
Br 0.764 0.900 0.328
Br 0.222 0.640 0.292
S 0.220 0.061 0.100
N 0.232 0.066 0.235
Br 0.640 0.222 0.792
S 0.360 0.256 0.613
N 0.141 0.131 0.568
S 0.463 0.597 0.594
N 0.066 0.232 0.735
Fe 0.561 0.929 0.303
S 0.361 0.282 0.287
N 0.982 0.697 0.491
Br 0.673 0.091 0.093
```

Results
Space group   No. 9

The computed energies, referenced to the most stable structure and given in meV per atom, are arrangement w 108; arrangement x 0.

Arrangement w

A relaxed structure of HgH16Br6N4. Source: Materials Project, functional GGA-PBE. Values from VASP.

Quantum ESPRESSO input file:
```
&SYSTEM
  ibrav = 0, nat = 54, ntyp = 4
/
ATOMIC_SPECIES
H 1.01 H.upf
Br 79.90 Br.upf
Hg 200.59 Hg.upf
N 14.01 N.upf
CELL_PARAMETERS angstrom
-0.675 -4.170 -8.441
-1.204 -8.355 4.223
-9.000 1.329 0.063
ATOMIC_POSITIONS crystal
H 0.558 0.147 0.680
Br 0.500 0.500 0.780
H 0.354 0.763 0.812
Br 0.678 0.881 0.000
Br 0.881 0.322 0.000
Br 0.000 0.000 0.280
Br 0.119 0.678 0.000
H 0.353 0.942 0.820
Hg 0.500 0.500 0.500
H 0.647 0.058 0.180
H 0.263 0.854 0.688
N 0.854 0.646 0.750
Br 0.322 0.119 0.000
H 0.263 0.854 0.312
H 0.854 0.737 0.312
H 0.942 0.647 0.180
Br 0.822 0.381 0.500
H 0.147 0.442 0.320
H 0.853 0.558 0.680
H 0.647 0.058 0.820
H 0.353 0.942 0.180
H 0.646 0.237 0.812
H 0.763 0.646 0.812
Br 0.000 0.000 0.720
H 0.147 0.442 0.680
H 0.442 0.853 0.320
N 0.854 0.646 0.250
N 0.146 0.354 0.750
Br 0.381 0.178 0.500
H 0.942 0.647 0.820
H 0.558 0.147 0.320
H 0.237 0.354 0.812
H 0.763 0.646 0.188
N 0.354 0.854 0.250
N 0.646 0.146 0.250
H 0.442 0.853 0.680
H 0.058 0.353 0.820
H 0.854 0.737 0.688
Br 0.500 0.500 0.220
H 0.354 0.763 0.188
H 0.646 0.237 0.188
H 0.146 0.263 0.688
H 0.853 0.558 0.320
Hg 0.000 0.000 0.000
N 0.354 0.854 0.750
Br 0.178 0.619 0.500
Br 0.619 0.822 0.500
H 0.737 0.146 0.312
N 0.146 0.354 0.250
H 0.058 0.353 0.180
H 0.237 0.354 0.188
H 0.146 0.263 0.312
H 0.737 0.146 0.688
N 0.646 0.146 0.750
```

Results
Space group   No. 128

Arrangement x

A relaxed structure of HgH16Br6N4. Source: Materials Project, functional GGA-PBE. Values from VASP.

Quantum ESPRESSO input file:
```
&SYSTEM
  ibrav = 0, nat = 54, ntyp = 4
/
ATOMIC_SPECIES
H 1.01 H.upf
Br 79.90 Br.upf
N 14.01 N.upf
Hg 200.59 Hg.upf
CELL_PARAMETERS angstrom
9.124 0.000 0.000
0.000 9.130 0.000
0.000 0.000 9.483
ATOMIC_POSITIONS crystal
H 0.689 0.278 0.090
Br 0.783 0.500 0.500
H 0.812 0.292 0.222
Br 0.000 0.862 0.680
H 0.688 0.208 0.722
H 0.312 0.208 0.722
Br 0.717 0.000 0.000
Br 0.500 0.638 0.180
H 0.184 0.073 0.698
Br 0.000 0.138 0.320
H 0.189 0.222 0.590
H 0.689 0.722 0.910
H 0.324 0.097 0.581
H 0.176 0.597 0.919
Br 0.217 0.500 0.500
H 0.816 0.073 0.698
H 0.188 0.292 0.222
H 0.684 0.427 0.198
H 0.176 0.403 0.081
H 0.316 0.573 0.802
H 0.312 0.792 0.278
H 0.816 0.927 0.302
H 0.824 0.403 0.081
Br 0.000 0.675 0.122
H 0.189 0.778 0.410
N 0.251 0.149 0.648
H 0.316 0.427 0.198
N 0.751 0.351 0.148
H 0.812 0.708 0.778
H 0.684 0.573 0.802
H 0.676 0.097 0.581
H 0.676 0.903 0.419
H 0.824 0.597 0.919
Hg 0.000 0.000 0.000
H 0.811 0.222 0.590
Br 0.500 0.362 0.820
N 0.749 0.149 0.648
Br 0.000 0.325 0.878
H 0.184 0.927 0.302
H 0.811 0.778 0.410
Br 0.500 0.175 0.378
N 0.751 0.649 0.852
H 0.688 0.792 0.278
N 0.249 0.351 0.148
Br 0.283 0.000 0.000
N 0.251 0.851 0.352
Hg 0.500 0.500 0.500
H 0.188 0.708 0.778
H 0.324 0.903 0.419
N 0.249 0.649 0.852
Br 0.500 0.825 0.622
H 0.311 0.278 0.090
H 0.311 0.722 0.910
N 0.749 0.851 0.352
```

Results
Space group   No. 58

The computed energies, referenced to the most stable structure and given in meV per atom, are arrangement w 0; arrangement x 9.

Arrangement w

A relaxed structure of K4MgZn4H16Br12O8. Source: Materials Project, functional GGA-PBE. Values from VASP.

Quantum ESPRESSO input file:
```
&SYSTEM
  ibrav = 0, nat = 45, ntyp = 6
/
ATOMIC_SPECIES
Br 79.90 Br.upf
Zn 65.41 Zn.upf
H 1.01 H.upf
O 16.00 O.upf
K 39.10 K.upf
Mg 24.30 Mg.upf
CELL_PARAMETERS angstrom
-2.688 -4.913 5.133
12.076 -4.974 1.662
5.602 12.616 0.417
ATOMIC_POSITIONS crystal
Br 0.737 0.901 0.332
Zn 0.486 0.418 0.754
H 0.103 0.653 0.138
H 0.070 0.655 0.740
Br 0.638 0.585 0.815
O 0.265 0.682 0.184
Zn 0.520 0.065 0.258
O 0.215 0.699 0.808
Br 0.719 0.898 0.700
H 0.365 0.656 0.852
O 0.780 0.183 0.355
H 0.778 0.268 0.785
K 0.283 0.711 0.504
Br 0.225 0.386 0.506
H 0.202 0.780 0.711
Br 0.322 0.084 0.335
K 0.676 0.325 0.489
Br 0.292 0.356 0.827
Br 0.294 0.099 0.021
O 0.747 0.346 0.168
Br 0.695 0.581 0.541
H 0.884 0.345 0.171
H 0.941 0.155 0.745
Br 0.276 0.098 0.668
K 0.291 0.804 0.010
Mg 0.795 0.474 0.267
H 0.786 0.223 0.296
O 0.260 0.824 0.323
H 0.095 0.855 0.242
Br 0.715 0.903 0.992
H 0.655 0.137 0.642
H 0.927 0.324 0.931
O 0.761 0.306 0.840
Zn 0.483 0.931 0.751
H 0.373 0.881 0.363
O 0.207 0.825 0.652
Br 0.148 0.359 0.159
K 0.764 0.152 0.003
Br 0.816 0.629 0.165
H 0.037 0.854 0.571
Zn 0.551 0.557 0.309
H 0.589 0.348 0.068
H 0.954 0.159 0.441
O 0.776 0.191 0.684
H 0.287 0.734 0.244
```

Results
Space group   No. 1

Arrangement x

A relaxed structure of K4MgZn4H16Br12O8. Source: Materials Project, functional GGA-PBE. Values from VASP.

Quantum ESPRESSO input file:
```
&SYSTEM
  ibrav = 0, nat = 45, ntyp = 6
/
ATOMIC_SPECIES
H 1.01 H.upf
Br 79.90 Br.upf
O 16.00 O.upf
K 39.10 K.upf
Mg 24.30 Mg.upf
Zn 65.41 Zn.upf
CELL_PARAMETERS angstrom
5.161 0.062 -4.561
0.004 12.908 -0.166
0.303 -0.176 14.043
ATOMIC_POSITIONS crystal
H 0.923 0.350 0.221
Br 0.231 0.077 0.286
Br 0.275 0.090 0.714
O 0.189 0.811 0.651
O 0.211 0.810 0.306
H 0.021 0.840 0.585
K 0.277 0.821 0.002
H 0.180 0.733 0.200
Br 0.250 0.392 0.803
H 0.081 0.636 0.783
H 0.344 0.860 0.331
H 0.988 0.343 0.936
H 0.727 0.238 0.263
Br 0.269 0.409 0.174
K 0.734 0.170 0.010
H 0.365 0.650 0.844
K 0.781 0.360 0.485
Br 0.356 0.434 0.553
O 0.758 0.315 0.172
Mg 0.368 0.167 0.530
Zn 0.476 0.921 0.759
Br 0.740 0.900 0.322
H 0.807 0.094 0.738
H 0.833 0.267 0.817
Br 0.721 0.884 0.975
O 0.793 0.165 0.710
Br 0.724 0.601 0.176
H 0.027 0.661 0.075
H 0.937 0.167 0.710
H 0.634 0.372 0.138
O 0.209 0.689 0.811
Zn 0.540 0.436 0.769
H 0.171 0.765 0.702
O 0.734 0.195 0.323
H 0.925 0.179 0.390
Br 0.707 0.902 0.685
H 0.063 0.854 0.274
Zn 0.476 0.577 0.239
K 0.248 0.689 0.483
Zn 0.512 0.064 0.240
Br 0.712 0.614 0.459
Br 0.279 0.086 0.018
O 0.196 0.689 0.145
O 0.818 0.317 0.867
Br 0.741 0.603 0.853
```

Results
Space group   No. 1

The computed energies, referenced to the most stable structure and given in meV per atom, are arrangement w 0; arrangement x 36.